# 1
An optimized crystal structure of CeSn3, computed with PBE.

Lattice parameters (Å, degrees): 4.7203 4.7203 4.7203 90.00 90.00 90.00
With the nearest neighbours (Å) after each atom.
Fractional positions:
Sn 0.0000 0.5000 0.5000  4 Ce 3.34, 8 Sn 3.34
Sn 0.5000 0.5000 0.0000  8 Sn 3.34, 4 Ce 3.34
Sn 0.5000 0.0000 0.5000  4 Ce 3.34, 8 Sn 3.34
Ce 0.0000 0.0000 0.0000  12 Sn 3.34

Computed properties:
As for the formation energy: -0.536 eV per atom.

# 2
An optimized crystal structure of SrTaO3, computed with PBE.

Lattice parameters (Å, degrees): 4.0669 4.0669 4.0669 90.00 90.00 90.00
With the nearest neighbours (Å) after each atom.
Fractional positions:
Sr 0.0000 0.0000 0.0000  12 O 2.88
Ta 0.5000 0.5000 0.5000  6 O 2.03
O 0.5000 0.0000 0.5000  2 Ta 2.03
O 0.5000 0.5000 0.0000  2 Ta 2.03
O 0.0000 0.5000 0.5000  2 Ta 2.03

Computed properties:
The spin magnetization is 0.0 μB per formula unit. Its MP2020-corrected energy is -0.3293 Ha/atom. As for the formation energy: -3.281 eV per atom.

# 3
An optimized crystal structure of Ce2CdIn, computed with PBE.

Lattice parameters (Å, degrees): 5.4313 5.4313 5.4313 60.00 60.00 60.00
With the nearest neighbours (Å) after each atom.
Fractional positions:
In 0.0000 0.0000 0.0000  8 Ce 3.33
Cd 0.5000 0.5000 0.5000  8 Ce 3.33
Ce 0.7500 0.7500 0.7500  4 Cd 3.33, 4 In 3.33
Ce 0.2500 0.2500 0.2500  4 Cd 3.33, 4 In 3.33

Computed properties:
The spin magnetization is 2.2 μB per formula unit. As for the formation energy: -0.217 eV per atom.

What did the first record say?
An optimized crystal structure of CeSn3, computed with PBE.

Lattice parameters (Å, degrees): 4.7203 4.7203 4.7203 90.00 90.00 90.00
With the nearest neighbours (Å) after each atom.
Fractional positions:
Sn 0.0000 0.5000 0.5000  4 Ce 3.34, 8 Sn 3.34
Sn 0.5000 0.5000 0.0000  8 Sn 3.34, 4 Ce 3.34
Sn 0.5000 0.0000 0.5000  4 Ce 3.34, 8 Sn 3.34
Ce 0.0000 0.0000 0.0000  12 Sn 3.34

Computed properties:
As for the formation energy: -0.536 eV per atom.

> Which value of formation energy does entry 2 give?

-3.281 eV per atom